[1]
! Na2TlNiF6, relaxed, DFT GGA+U; values from VASP
! Formation energy from the elements in meV/atom: -2319
! E in eV per cell: -40.156
! Space-group type: Fm-3m (225)
! Magnetic moment in μB per formula unit: 1.19
&SYSTEM
  ibrav = 0, nat = 10, ntyp = 4
/
ATOMIC_SPECIES
Na 22.99 Na.upf
Tl 204.38 Tl.upf
Ni 58.69 Ni.upf
F 19.00 F.upf
CELL_PARAMETERS angstrom
0.000 4.330 4.330
4.330 0.000 4.330
4.330 4.330 0.000
ATOMIC_POSITIONS crystal
Na 0.250 0.250 0.250
Na 0.750 0.750 0.750
Tl 0.000 0.000 0.000
Ni 0.500 0.500 0.500
F 0.275 0.275 0.725
F 0.275 0.725 0.275
F 0.275 0.725 0.725
F 0.725 0.275 0.275
F 0.725 0.275 0.725
F 0.725 0.725 0.275

***

[2]
! Na2VNiF7, relaxed, DFT GGA+U; values from VASP
! Formation energy from the elements in meV/atom: -2920
! E in eV per cell: -111.122
! Space-group type: Imma (74)
! Magnetic moment in μB per formula unit: 4.00
&SYSTEM
  ibrav = 0, nat = 22, ntyp = 4
/
ATOMIC_SPECIES
Na 22.99 Na.upf
V 50.94 V.upf
Ni 58.69 Ni.upf
F 19.00 F.upf
CELL_PARAMETERS angstrom
-3.668 5.235 3.765
3.668 -5.235 3.765
3.668 5.235 -3.765
ATOMIC_POSITIONS crystal
Na 0.000 0.000 0.000
Na 0.500 0.000 0.000
Na 0.500 0.000 0.500
Na 0.500 0.500 0.500
V 0.000 0.500 0.500
V 0.500 0.500 0.000
Ni 0.000 0.000 0.500
Ni 0.000 0.500 0.000
F 0.054 0.236 0.416
F 0.054 0.638 0.818
F 0.100 0.850 0.250
F 0.320 0.236 0.682
F 0.320 0.638 0.084
F 0.323 0.731 0.592
F 0.361 0.269 0.092
F 0.639 0.731 0.908
F 0.677 0.269 0.408
F 0.680 0.362 0.916
F 0.680 0.764 0.318
F 0.900 0.150 0.750
F 0.946 0.362 0.182
F 0.946 0.764 0.584

***

[3]
! NaVPO4F, relaxed, DFT GGA+U; values from VASP
! Formation energy from the elements in meV/atom: -2788
! E in eV per cell: -439.350
! Space-group type: Pna2_1 (33)
! Magnetic moment in μB per formula unit: 2.00
&SYSTEM
  ibrav = 0, nat = 64, ntyp = 5
/
ATOMIC_SPECIES
Na 22.99 Na.upf
V 50.94 V.upf
P 30.97 P.upf
O 16.00 O.upf
F 19.00 F.upf
CELL_PARAMETERS angstrom
12.885 0.000 0.000
0.000 6.376 0.000
0.000 0.000 10.797
ATOMIC_POSITIONS crystal
Na 0.103 0.206 0.000
Na 0.144 0.727 0.731
Na 0.356 0.227 0.231
Na 0.397 0.706 0.500
Na 0.603 0.294 0.000
Na 0.644 0.773 0.731
Na 0.856 0.273 0.231
Na 0.897 0.794 0.500
V 0.117 0.001 0.459
V 0.241 0.749 0.203
V 0.259 0.249 0.703
V 0.383 0.501 0.959
V 0.617 0.499 0.459
V 0.741 0.751 0.203
V 0.759 0.251 0.703
V 0.883 0.999 0.959
P 0.008 0.161 0.716
P 0.183 0.498 0.457
P 0.317 0.998 0.957
P 0.492 0.661 0.216
P 0.508 0.339 0.716
P 0.683 0.002 0.457
P 0.817 0.502 0.957
P 0.992 0.839 0.216
O 0.002 0.033 0.840
O 0.023 0.995 0.611
O 0.089 0.705 0.193
O 0.104 0.308 0.726
O 0.112 0.307 0.441
O 0.113 0.690 0.486
O 0.241 0.971 0.069
O 0.247 0.037 0.842
O 0.253 0.537 0.342
O 0.259 0.471 0.569
O 0.387 0.190 0.986
O 0.388 0.807 0.941
O 0.396 0.808 0.226
O 0.411 0.205 0.693
O 0.477 0.495 0.111
O 0.498 0.533 0.340
O 0.502 0.467 0.840
O 0.523 0.505 0.611
O 0.589 0.795 0.193
O 0.604 0.192 0.726
O 0.612 0.193 0.441
O 0.613 0.810 0.486
O 0.741 0.529 0.069
O 0.747 0.463 0.842
O 0.753 0.963 0.342
O 0.759 0.029 0.569
O 0.887 0.310 0.986
O 0.888 0.693 0.941
O 0.896 0.692 0.226
O 0.911 0.295 0.693
O 0.977 0.005 0.111
O 0.998 0.967 0.340
F 0.227 0.991 0.325
F 0.239 0.009 0.580
F 0.261 0.509 0.080
F 0.273 0.491 0.825
F 0.727 0.509 0.325
F 0.739 0.491 0.580
F 0.761 0.991 0.080
F 0.773 0.009 0.825